Entry 1:
The following is a PBE calculation of an optimized crystal structure of Sr2CaN2, from Materials Project.

Output
Energy above the most stable polymorph in this dataset: 0.1431 eV per atom
ΔE_f: -0.5114 eV per atom

Cell: 4.4391 13.4575 18.6784 Å, 90.00 90.00 90.00°
Space group Cmce (No. 64)
Asymmetric unit:
Sr 0.0000 0.0284 0.1418
Sr 0.0000 0.1426 0.4838
Ca 0.0000 0.1949 0.6584
N 0.0000 0.0451 0.6077
N 0.0000 0.1894 0.0759



Entry 2:
The following is a PBE calculation of an optimized crystal structure of ZnH12C2N6Cl4, from Materials Project.

Output
ΔE_f: -0.6137 eV per atom

Cell: 7.2278 7.4008 12.8066 Å, 82.15 86.20 76.88°
Space group P-1 (No. 2)
Asymmetric unit:
Zn 0.0425 0.3251 0.2756
H 0.1501 0.6654 0.4370
H 0.1583 0.9001 0.4406
H 0.2358 0.6685 0.8929
H 0.2443 0.5406 0.0201
H 0.2459 0.9855 0.8730
H 0.2623 0.0932 0.9859
H 0.2734 0.6893 0.1657
H 0.2872 0.9270 0.1470
H 0.3734 0.1522 0.6710
H 0.3864 0.4586 0.6761
H 0.4075 0.4605 0.3715
H 0.4310 0.0061 0.3786
C 0.2569 0.8164 0.0137
C 0.3974 0.7377 0.3805
N 0.2215 0.7702 0.4226
N 0.2436 0.6633 0.9725
N 0.2547 0.9778 0.9525
N 0.2752 0.8091 0.1174
N 0.4788 0.5661 0.3562
N 0.4917 0.8748 0.3607
Cl 0.1114 0.3708 0.7694
Cl 0.1775 0.8553 0.7121
Cl 0.1862 0.2755 0.4351
Cl 0.2780 0.2615 0.1456



Entry 3:
The following is a PBE calculation of an optimized crystal structure of SmTmIn2, from Materials Project.

Output
ΔE_f: -0.4490 eV per atom

Cell: 7.5450 7.5450 7.5450 Å, 90.00 90.00 90.00°
Space group Fm-3m (No. 225)
Asymmetric unit:
Sm 0.0000 0.0000 0.0000
Tm 0.0000 0.0000 0.5000
In 0.2500 0.2500 0.2500



Entry 4:
The following is a PBE calculation of an optimized crystal structure of Na12Ca2Nb4Si9O36, from Materials Project.

Output
ΔE_f: -2.8872 eV per atom

Cell: 9.2840 9.2840 22.5310 Å, 90.00 90.00 120.00°
Space group P3c1 (No. 158)
Asymmetric unit:
Na 0.0000 0.0000 0.0760
Na 0.0528 0.3490 0.1644
Na 0.3083 0.0193 0.5000
Na 0.3333 0.6667 0.2539
Na 0.3538 0.0025 0.8444
Na 0.6667 0.3333 0.4251
Ca 0.0000 0.0000 0.4344
Ca 0.3333 0.6667 0.1107
Nb 0.0000 0.0000 0.2372
Nb 0.3333 0.6667 0.4078
Nb 0.6667 0.3333 0.0672
Nb 0.6667 0.3333 0.2748
Si 0.0011 0.3047 0.3403
Si 0.0313 0.3709 0.0106
Si 0.3700 0.0520 0.6738
O 0.0005 0.1869 0.0019
O 0.0258 0.1944 0.2849
O 0.1280 0.4802 0.6796
O 0.1299 0.4455 0.0709
O 0.1438 0.4984 0.9522
O 0.1791 0.4820 0.3451
O 0.1868 0.0426 0.6778
O 0.2504 0.0570 0.3985
O 0.4703 0.1668 0.6144
O 0.4788 0.1673 0.7302
O 0.4994 0.1460 0.3283
O 0.5244 0.1452 0.0088



Entry 5:
The following is a PBE calculation of an optimized crystal structure of EuTiO3, from Materials Project.

Output
ΔE_f: -3.5647 eV per atom

Cell: 5.5378 5.5378 7.9342 Å, 90.00 90.00 90.00°
Space group I4/mcm (No. 140)
Asymmetric unit:
Eu 0.0000 0.5000 0.2500
Ti 0.0000 0.0000 0.0000
O 0.0000 0.0000 0.2500
O 0.2135 0.2865 0.0000



Entry 6:
The following is a PBE calculation of an optimized crystal structure of Li3VS4, from Materials Project.

Output
Energy above the most stable polymorph in this dataset: 0.0880 eV per atom
ΔE_f: -1.2727 eV per atom

Cell: 7.1330 6.9897 12.9165 Å, 90.00 101.29 90.00°
Space group P2_1/c (No. 14)
Asymmetric unit:
Li 0.0144 0.0007 0.3662
Li 0.2092 0.5844 0.6156
Li 0.4331 0.1535 0.6086
V 0.2049 0.6088 0.3777
S 0.0779 0.1719 0.2120
S 0.1991 0.1522 0.9632
S 0.2818 0.6549 0.9893
S 0.4026 0.5949 0.2709



Entry 7:
The following is a PBE calculation of an optimized crystal structure of Te3MoWS, from Materials Project.

Output
Energy above the most stable polymorph in this dataset: 0.0344 eV per atom
ΔE_f: -0.3487 eV per atom

Cell: 3.4580 3.4580 39.3168 Å, 90.00 90.00 120.00°
Space group P3m1 (No. 156)
Asymmetric unit:
Te 0.0000 0.0000 0.0000
Te 0.0000 0.0000 0.0939
Te 0.0000 0.0000 0.3756
Te 0.0000 0.0000 0.4700
Te 0.3333 0.6667 0.1876
Te 0.3333 0.6667 0.2821
Mo 0.0000 0.0000 0.8592
Mo 0.3333 0.6667 0.0470
W 0.0000 0.0000 0.2349
W 0.3333 0.6667 0.4228
S 0.3333 0.6667 0.8213
S 0.3333 0.6667 0.8971



Entry 8:
The following is a PBE calculation of an optimized crystal structure of Nd2Fe15Co2H3, from Materials Project.

Output
ΔE_f: -0.0447 eV per atom

Cell: 8.6244 8.6244 12.3195 Å, 90.00 90.00 120.00°
Space group R-3m (No. 166, hexagonal axes)
Asymmetric unit:
Nd 0.0000 0.0000 0.1566
Fe 0.0000 0.2826 0.5000
Fe 0.0000 0.5000 0.0000
Fe 0.0067 0.5033 0.3431
Co 0.0000 0.0000 0.4063
H 0.0000 0.5000 0.5000